1.
## La2H5 (PBE)

Data for La2H5 after structural relaxation.

The structure in POSCAR format:
```
La2H5
1.0
-2.786 2.786 5.671
2.786 -2.786 5.671
2.786 2.786 -5.671
La H
4 10
direct
0.120 0.370 0.750
0.370 0.120 0.250
0.630 0.880 0.750
0.880 0.630 0.250
0.000 0.269 0.269
0.000 0.731 0.731
0.125 0.875 0.250
0.269 0.000 0.769
0.269 0.500 0.269
0.500 0.269 0.769
0.500 0.731 0.231
0.731 0.000 0.231
0.731 0.500 0.731
0.875 0.125 0.750
```

Results
Calculated formation energy (eV/f.u.): -5.12
Space-group type: No. 141

***

2.
## Pr2ZnP2O (PBE)

Data for Pr2ZnP2O after structural relaxation.

The structure in POSCAR format:
```
Pr2ZnP2O
1.0
3.450 0.000 0.000
0.000 3.450 0.000
0.000 0.000 14.617
Pr Zn P O
2 1 2 1
direct
0.000 0.000 0.146
0.000 0.000 0.854
0.000 0.000 0.500
0.000 0.000 0.348
0.000 0.000 0.652
0.000 0.000 0.000
```

Results
Calculated formation energy (eV/f.u.): -1.55
Space-group type: No. 123

***

3.
## BaTb4DyO12 (PBE)

Data for BaTb4DyO12 after structural relaxation.

The structure in POSCAR format:
```
BaTb4DyO12
1.0
8.760 0.000 0.000
0.000 4.481 4.232
0.000 -4.481 4.232
Ba Tb Dy O
1 4 1 12
direct
0.000 0.000 0.000
0.265 0.103 0.556
0.265 0.556 0.103
0.735 0.103 0.556
0.735 0.556 0.103
0.500 0.640 0.640
0.000 0.074 0.507
0.000 0.507 0.074
0.208 0.277 0.878
0.208 0.878 0.277
0.261 0.789 0.789
0.341 0.427 0.427
0.500 0.553 0.977
0.500 0.977 0.553
0.659 0.427 0.427
0.739 0.789 0.789
0.792 0.277 0.878
0.792 0.878 0.277
```

Results
Calculated formation energy (eV/f.u.): -49.91
Space-group type: No. 38

***

4.
## Pd3Pb2S2 (PBE)

Data for Pd3Pb2S2 after structural relaxation.

The structure in POSCAR format:
```
Pd3Pb2S2
1.0
3.044 1.757 4.689
-3.044 1.757 4.689
0.000 -3.515 4.689
Pd Pb S
3 2 2
direct
0.000 0.500 0.500
0.500 0.000 0.500
0.500 0.500 0.000
0.000 0.000 0.000
0.500 0.500 0.500
0.221 0.221 0.221
0.779 0.779 0.779
```

Results
Calculated formation energy (eV/f.u.): -3.91
Space-group type: No. 166

***

5.
## Li6Zn3P4S16 (PBE)

Data for Li6Zn3P4S16 after structural relaxation.

The structure in POSCAR format:
```
Li6Zn3P4S16
1.0
9.334 0.000 0.000
-0.012 11.595 0.000
-0.011 -0.033 23.114
Li Zn P S
24 12 16 64
direct
0.000 0.000 0.000
0.000 0.001 0.501
0.003 0.003 0.750
0.004 0.501 0.001
0.006 0.249 0.628
0.007 0.501 0.755
0.009 0.502 0.248
0.012 0.502 0.501
0.255 0.254 0.502
0.257 0.241 0.253
0.497 0.502 0.502
0.500 0.251 0.629
0.500 0.253 0.877
0.502 0.755 0.375
0.503 0.752 0.876
0.505 0.752 0.126
0.505 0.753 0.626
0.507 0.250 0.124
0.511 0.247 0.376
0.514 0.000 0.251
0.756 0.493 0.377
0.758 0.496 0.623
0.997 0.249 0.375
0.997 0.999 0.252
0.006 0.252 0.875
0.006 0.751 0.877
0.007 0.753 0.127
0.013 0.754 0.375
0.015 0.751 0.625
0.500 0.502 0.752
0.505 0.001 0.001
0.506 0.001 0.751
0.506 0.501 0.249
0.507 0.502 0.001
0.514 0.002 0.501
0.998 0.249 0.124
0.251 0.007 0.125
0.252 0.498 0.629
0.255 0.001 0.876
0.255 0.502 0.877
0.256 0.503 0.377
0.256 0.998 0.374
0.258 0.501 0.126
0.260 0.000 0.623
0.753 0.260 0.252
0.754 0.750 0.751
0.755 0.251 0.000
0.755 0.254 0.500
0.755 0.751 0.001
0.756 0.248 0.752
0.758 0.750 0.504
0.759 0.747 0.250
0.131 0.396 0.681
0.134 0.113 0.072
0.134 0.607 0.324
0.136 0.108 0.324
0.137 0.392 0.427
0.137 0.894 0.429
0.138 0.387 0.177
0.139 0.108 0.573
0.139 0.610 0.075
0.139 0.895 0.178
0.140 0.390 0.929
0.140 0.890 0.928
0.141 0.112 0.824
0.143 0.614 0.825
0.144 0.891 0.677
0.145 0.611 0.574
0.366 0.607 0.183
0.368 0.397 0.821
0.368 0.901 0.071
0.369 0.105 0.932
0.369 0.897 0.820
0.370 0.103 0.681
0.370 0.606 0.933
0.371 0.397 0.070
0.373 0.395 0.575
0.374 0.107 0.180
0.374 0.396 0.320
0.375 0.104 0.431
0.376 0.895 0.569
0.376 0.898 0.322
0.377 0.605 0.681
0.378 0.606 0.427
0.630 0.144 0.804
0.631 0.150 0.553
0.631 0.361 0.448
0.636 0.363 0.700
0.637 0.365 0.196
0.638 0.642 0.554
0.639 0.637 0.303
0.640 0.150 0.302
0.640 0.363 0.948
0.641 0.640 0.054
0.641 0.861 0.699
0.641 0.862 0.949
0.642 0.639 0.803
0.643 0.139 0.053
0.643 0.854 0.199
0.645 0.859 0.450
0.864 0.145 0.697
0.866 0.355 0.808
0.866 0.357 0.056
0.869 0.647 0.945
0.869 0.851 0.307
0.870 0.148 0.944
0.870 0.854 0.057
0.873 0.149 0.449
0.873 0.154 0.198
0.873 0.853 0.805
0.875 0.357 0.554
0.876 0.646 0.695
0.877 0.643 0.195
0.877 0.854 0.557
0.878 0.364 0.304
0.878 0.647 0.447
```

Results
Calculated formation energy (eV/f.u.): -29.08
Space-group type: No. 1

***

6.
## CeZn2PO2 (PBE)

Data for CeZn2PO2 after structural relaxation.

The structure in POSCAR format:
```
CeZn2PO2
1.0
3.033 0.000 0.000
0.000 3.033 0.000
0.000 0.000 12.537
Ce Zn P O
1 2 1 2
direct
0.000 0.000 0.000
0.000 0.000 0.308
0.000 0.000 0.692
0.000 0.000 0.500
0.000 0.000 0.158
0.000 0.000 0.842
```

Results
Calculated formation energy (eV/f.u.): -4.99
Space-group type: No. 123

***

- What is the formula in the first record?
  La2H5